(1)
DFT (GGA-PBE) results for a relaxed BaLa2Sc2O7 crystal.

Calculated values
**Volume**: 722 Å³/cell
**Total magnetic moment**: 0.00 μB per formula unit
**SG**: P4_2/mnm
**Crystal system**: tetragonal
**Uncorrected energy**: -8.32 eV per atom
**Energy relative to the elements**: -45.6 eV/f.u.

abc: 5.893 5.893 20.801
angles: 90.00 90.00 90.00
Atoms (fractional coordinates):
Ba: 0.241 0.759 0.500
Ba: 0.759 0.241 0.500
Ba: 0.259 0.259 0.000
Ba: 0.741 0.741 0.000
La: 0.227 0.773 0.316
La: 0.773 0.227 0.316
La: 0.273 0.273 0.816
La: 0.727 0.727 0.816
La: 0.773 0.227 0.684
La: 0.227 0.773 0.684
La: 0.727 0.727 0.184
La: 0.273 0.273 0.184
Sc: 0.243 0.757 0.100
Sc: 0.757 0.243 0.100
Sc: 0.257 0.257 0.600
Sc: 0.743 0.743 0.600
Sc: 0.757 0.243 0.900
Sc: 0.243 0.757 0.900
Sc: 0.743 0.743 0.400
Sc: 0.257 0.257 0.400
O: 0.283 0.283 0.500
O: 0.717 0.717 0.500
O: 0.217 0.783 0.000
O: 0.783 0.217 0.000
O: 0.307 0.693 0.208
O: 0.693 0.307 0.208
O: 0.193 0.193 0.708
O: 0.807 0.807 0.708
O: 0.693 0.307 0.792
O: 0.307 0.693 0.792
O: 0.807 0.807 0.292
O: 0.193 0.193 0.292
O: 0.000 0.500 0.390
O: 0.500 0.000 0.890
O: 0.000 0.500 0.610
O: 0.500 0.000 0.110
O: 0.500 0.000 0.390
O: 0.000 0.500 0.890
O: 0.500 0.000 0.610
O: 0.000 0.500 0.110
O: 0.500 0.500 0.374
O: 0.000 0.000 0.874
O: 0.500 0.500 0.626
O: 0.000 0.000 0.126
O: 0.500 0.500 0.095
O: 0.000 0.000 0.595
O: 0.500 0.500 0.905
O: 0.000 0.000 0.405

***

(2)
DFT (GGA-PBE) results for a relaxed K6Sn2S7 crystal.

Calculated values
**Volume**: 1912 Å³/cell
**Total magnetic moment**: 0.00 μB per formula unit
**SG**: P2_12_12_1
**Crystal system**: orthorhombic
**Uncorrected energy**: -3.91 eV per atom
**Energy relative to the elements**: -18.5 eV/f.u.

abc: 9.819 13.304 14.639
angles: 90.00 90.00 90.00
Atoms (fractional coordinates):
K: 0.973 0.839 0.187
K: 0.527 0.161 0.687
K: 0.027 0.339 0.313
K: 0.473 0.661 0.813
K: 0.720 0.859 0.936
K: 0.780 0.141 0.436
K: 0.280 0.359 0.564
K: 0.220 0.641 0.064
K: 0.754 0.891 0.633
K: 0.746 0.109 0.133
K: 0.246 0.391 0.867
K: 0.254 0.609 0.367
K: 0.561 0.818 0.384
K: 0.939 0.182 0.884
K: 0.439 0.318 0.116
K: 0.061 0.682 0.616
K: 0.645 0.654 0.137
K: 0.855 0.346 0.637
K: 0.355 0.154 0.363
K: 0.145 0.846 0.863
K: 0.639 0.570 0.585
K: 0.861 0.430 0.085
K: 0.361 0.070 0.915
K: 0.139 0.930 0.415
Sn: 0.924 0.608 0.857
Sn: 0.576 0.392 0.357
Sn: 0.076 0.108 0.643
Sn: 0.424 0.892 0.143
Sn: 0.877 0.609 0.382
Sn: 0.623 0.391 0.882
Sn: 0.123 0.109 0.118
Sn: 0.377 0.891 0.618
S: 0.626 0.577 0.361
S: 0.874 0.423 0.861
S: 0.374 0.077 0.139
S: 0.126 0.923 0.639
S: 0.972 0.592 0.233
S: 0.528 0.408 0.733
S: 0.028 0.092 0.267
S: 0.472 0.908 0.767
S: 0.516 0.506 0.988
S: 0.984 0.494 0.488
S: 0.484 0.006 0.512
S: 0.016 0.994 0.012
S: 0.658 0.891 0.186
S: 0.842 0.109 0.686
S: 0.342 0.391 0.314
S: 0.158 0.609 0.814
S: 0.784 0.697 0.751
S: 0.716 0.303 0.251
S: 0.216 0.197 0.749
S: 0.284 0.803 0.249
S: 0.907 0.676 0.008
S: 0.593 0.324 0.508
S: 0.093 0.176 0.492
S: 0.407 0.824 0.992
S: 0.881 0.776 0.443
S: 0.619 0.224 0.943
S: 0.119 0.276 0.057
S: 0.381 0.724 0.557

***

(3)
DFT (GGA-PBE) results for a relaxed Li13Mn6As8 crystal.

Calculated values
**Volume**: 448 Å³/cell
**Total magnetic moment**: 25.20 μB per formula unit
**SG**: Pm
**Crystal system**: monoclinic
**Uncorrected energy**: -4.76 eV per atom
**Energy relative to the elements**: -11.3 eV/f.u.

abc: 6.039 8.604 8.620
angles: 89.12 90.00 90.00
Atoms (fractional coordinates):
Li: 0.268 0.003 0.015
Li: 0.264 0.248 0.260
Li: 0.235 0.002 0.491
Li: 0.500 0.993 0.756
Li: 0.724 0.502 0.001
Li: 0.765 0.002 0.491
Li: 0.752 0.738 0.740
Li: 0.736 0.248 0.260
Li: 0.732 0.003 0.015
Li: 0.000 0.760 0.996
Li: 0.000 0.246 0.008
Li: 0.248 0.738 0.740
Li: 0.276 0.502 0.001
Mn: 0.742 0.753 0.257
Mn: 0.752 0.258 0.742
Mn: 0.754 0.500 0.500
Mn: 0.258 0.753 0.257
Mn: 0.246 0.500 0.500
Mn: 0.248 0.258 0.742
As: 0.500 0.756 0.001
As: 0.500 0.259 0.510
As: 0.500 0.745 0.499
As: 0.500 0.248 0.987
As: 0.000 0.995 0.240
As: 0.000 0.497 0.746
As: 0.000 0.009 0.761
As: 0.000 0.506 0.254

***

(4)
DFT (GGA-PBE) results for a relaxed BaTaCuO5 crystal.

Calculated values
**Volume**: 133 Å³/cell
**Total magnetic moment**: 0.04 μB per formula unit
**SG**: P4mm
**Crystal system**: tetragonal
**Uncorrected energy**: -7.31 eV per atom
**Energy relative to the elements**: -19.3 eV/f.u.

abc: 3.805 3.805 9.173
angles: 90.00 90.00 90.00
Atoms (fractional coordinates):
Ba: 0.500 0.500 0.029
Ta: 0.000 0.000 0.708
Cu: 0.000 0.000 0.275
O: 0.500 0.000 0.664
O: 0.000 0.500 0.664
O: 0.500 0.000 0.236
O: 0.000 0.500 0.236
O: 0.000 0.000 0.912

***

Among the records above, which one has the highest volume? K6Sn2S7

***

Please write out number 1 again, unchanged.
DFT (GGA-PBE) results for a relaxed BaLa2Sc2O7 crystal.

Calculated values
**Volume**: 722 Å³/cell
**Total magnetic moment**: 0.00 μB per formula unit
**SG**: P4_2/mnm
**Crystal system**: tetragonal
**Uncorrected energy**: -8.32 eV per atom
**Energy relative to the elements**: -45.6 eV/f.u.

abc: 5.893 5.893 20.801
angles: 90.00 90.00 90.00
Atoms (fractional coordinates):
Ba: 0.241 0.759 0.500
Ba: 0.759 0.241 0.500
Ba: 0.259 0.259 0.000
Ba: 0.741 0.741 0.000
La: 0.227 0.773 0.316
La: 0.773 0.227 0.316
La: 0.273 0.273 0.816
La: 0.727 0.727 0.816
La: 0.773 0.227 0.684
La: 0.227 0.773 0.684
La: 0.727 0.727 0.184
La: 0.273 0.273 0.184
Sc: 0.243 0.757 0.100
Sc: 0.757 0.243 0.100
Sc: 0.257 0.257 0.600
Sc: 0.743 0.743 0.600
Sc: 0.757 0.243 0.900
Sc: 0.243 0.757 0.900
Sc: 0.743 0.743 0.400
Sc: 0.257 0.257 0.400
O: 0.283 0.283 0.500
O: 0.717 0.717 0.500
O: 0.217 0.783 0.000
O: 0.783 0.217 0.000
O: 0.307 0.693 0.208
O: 0.693 0.307 0.208
O: 0.193 0.193 0.708
O: 0.807 0.807 0.708
O: 0.693 0.307 0.792
O: 0.307 0.693 0.792
O: 0.807 0.807 0.292
O: 0.193 0.193 0.292
O: 0.000 0.500 0.390
O: 0.500 0.000 0.890
O: 0.000 0.500 0.610
O: 0.500 0.000 0.110
O: 0.500 0.000 0.390
O: 0.000 0.500 0.890
O: 0.500 0.000 0.610
O: 0.000 0.500 0.110
O: 0.500 0.500 0.374
O: 0.000 0.000 0.874
O: 0.500 0.500 0.626
O: 0.000 0.000 0.126
O: 0.500 0.500 0.095
O: 0.000 0.000 0.595
O: 0.500 0.500 0.905
O: 0.000 0.000 0.405